Entry 1:
An optimized crystal structure of CsGa3S5. Source: the Materials Project, functional meta-GGA r2SCAN.

Cell and atoms, written as POSCAR:
```
CsGa3S5
1.0
10.810 0.000 0.000
0.000 12.831 0.000
-0.131 0.000 6.972
Cs Ga S
4 12 20
Cartesian
1.458 1.062 2.550 Cs
1.392 5.353 6.037 Cs
9.286 7.478 0.936 Cs
9.221 11.768 4.422 Cs
1.777 8.982 3.377 Ga
1.711 10.264 6.863 Ga
3.894 0.476 6.249 Ga
3.960 5.939 2.763 Ga
5.209 9.300 1.844 Ga
5.143 9.945 5.330 Ga
5.535 2.885 1.642 Ga
5.470 3.530 5.128 Ga
6.718 6.891 4.209 Ga
6.784 12.355 0.723 Ga
8.967 2.567 0.109 Ga
8.901 3.849 3.595 Ga
0.619 8.993 5.329 S
0.685 10.253 1.843 S
1.940 6.859 2.601 S
1.874 12.387 6.087 S
3.551 2.421 5.205 S
3.617 3.995 1.719 S
3.763 9.114 6.949 S
3.829 10.131 3.463 S
4.890 0.673 1.457 S
4.824 5.742 4.943 S
5.854 7.089 2.029 S
5.788 12.157 5.516 S
6.850 2.699 3.510 S
6.915 3.716 0.024 S
7.062 8.836 5.253 S
7.127 10.410 1.767 S
8.804 0.444 0.885 S
8.739 5.971 4.371 S
9.994 2.578 5.130 S
10.059 3.837 1.643 S
```

Symmetry   P2_1/c (14)
Uncorrected energy   -435.59 eV per cell
Energy of formation   -1.0323 eV/atom



Entry 2:
An optimized crystal structure of Cs6GaSb3. Source: the Materials Project, functional meta-GGA r2SCAN.

Cell and atoms, written as POSCAR:
```
Cs6GaSb3
1.0
11.014 0.000 0.000
0.000 6.534 0.000
-2.486 0.000 12.632
Cs Ga Sb
12 2 6
Cartesian
0.291 1.634 0.990 Cs
-0.508 1.634 5.680 Cs
0.809 4.901 9.831 Cs
1.590 1.634 12.354 Cs
3.337 1.634 4.099 Cs
2.907 1.634 7.988 Cs
5.621 4.901 4.644 Cs
5.191 4.901 8.532 Cs
6.939 4.901 0.278 Cs
7.719 1.634 2.800 Cs
9.036 4.901 6.952 Cs
8.237 4.901 11.642 Cs
1.257 4.901 3.531 Ga
7.271 1.634 9.100 Ga
-1.190 1.634 9.698 Sb
1.949 4.901 6.077 Sb
3.112 4.901 1.585 Sb
5.416 1.634 11.047 Sb
6.579 1.634 6.555 Sb
9.718 4.901 2.933 Sb
```

Symmetry   P2_1/m (11)
Uncorrected energy   -489.99 eV per cell
Energy of formation   -0.5781 eV/atom



Entry 3:
An optimized crystal structure of Cs4Ga2Se5. Source: the Materials Project, functional meta-GGA r2SCAN.

Cell and atoms, written as POSCAR:
```
Cs4Ga2Se5
1.0
8.025 0.000 0.000
1.535 9.341 0.000
0.766 2.600 11.005
Cs Ga Se
8 4 10
Cartesian
0.767 1.661 2.755 Cs
2.776 6.356 4.041 Cs
5.088 9.239 6.486 Cs
5.368 9.967 10.991 Cs
4.958 1.974 0.014 Cs
5.238 2.701 4.519 Cs
7.550 5.585 6.964 Cs
9.560 10.279 8.250 Cs
2.083 6.196 9.920 Ga
3.090 3.900 7.809 Ga
7.237 8.041 3.196 Ga
8.243 5.745 1.085 Ga
1.718 3.827 9.891 Se
1.906 3.178 5.888 Se
2.327 4.496 0.942 Se
3.414 6.405 7.920 Se
5.193 9.197 2.909 Se
5.134 2.743 8.096 Se
6.912 5.535 3.085 Se
8.000 7.445 10.062 Se
8.420 8.762 5.117 Se
8.608 8.113 1.113 Se
```

Symmetry   P-1 (2)
Uncorrected energy   -417.08 eV per cell
Energy of formation   -1.2421 eV/atom



Entry 4:
An optimized crystal structure of Cs5Ga3Se7. Source: the Materials Project, functional meta-GGA r2SCAN.

Cell and atoms, written as POSCAR:
```
Cs5Ga3Se7
1.0
9.171 -6.511 0.000
9.171 6.511 0.000
-3.026 0.000 9.280
Cs Ga Se
10 6 14
Cartesian
1.892 2.694 7.250 Cs
9.171 4.551 0.000 Cs
7.658 2.779 4.640 Cs
5.355 0.000 7.490 Cs
1.892 -2.694 7.250 Cs
13.425 2.694 2.031 Cs
9.961 0.000 1.790 Cs
7.658 -2.779 4.640 Cs
9.171 -4.551 0.000 Cs
13.425 -2.694 2.031 Cs
-0.023 0.000 4.105 Ga
2.952 0.000 2.940 Ga
5.872 0.000 1.528 Ga
9.445 0.000 7.752 Ga
12.364 0.000 6.340 Ga
15.340 0.000 5.175 Ga
1.470 1.840 3.580 Se
-0.893 0.000 6.373 Se
3.543 0.000 0.619 Se
7.056 1.976 0.980 Se
1.470 -1.840 3.580 Se
5.143 0.000 3.930 Se
8.261 1.976 8.300 Se
7.056 -1.976 0.980 Se
10.174 0.000 5.350 Se
13.847 1.840 5.700 Se
8.261 -1.976 8.300 Se
11.774 0.000 8.662 Se
16.210 0.000 2.907 Se
13.847 -1.840 5.700 Se
```

Symmetry   C2/m (12)
Uncorrected energy   -556.77 eV per cell
Energy of formation   -1.2223 eV/atom



Entry 5:
An optimized crystal structure of CsGdS2. Source: the Materials Project, functional meta-GGA r2SCAN.

Cell and atoms, written as POSCAR:
```
CsGdS2
1.0
2.067 1.194 8.071
-2.067 1.194 8.071
0.000 -2.387 8.071
Cs Gd S
1 1 2
Cartesian
0.000 0.000 0.000 Cs
0.000 0.000 12.106 Gd
0.000 0.000 5.512 S
0.000 0.000 18.700 S
```

Symmetry   R-3m (166)
Uncorrected energy   -92.90 eV per cell
Energy of formation   -2.0822 eV/atom



Entry 6:
An optimized crystal structure of CsGe. Source: the Materials Project, functional meta-GGA r2SCAN.

Cell and atoms, written as POSCAR:
```
CsGe
1.0
-5.773 5.773 9.384
5.773 -5.773 9.384
5.773 5.773 -9.384
Cs Ge
16 16
Cartesian
4.388 1.502 -2.346 Cs
8.660 1.250 0.000 Cs
7.158 4.271 -2.346 Cs
4.136 5.773 -4.692 Cs
4.136 0.000 4.692 Cs
1.385 1.502 2.346 Cs
2.887 4.523 0.000 Cs
-1.385 4.271 2.346 Cs
7.158 1.502 7.038 Cs
2.887 1.250 9.384 Cs
4.388 4.271 7.038 Cs
1.637 5.773 4.692 Cs
1.637 0.000 14.077 Cs
-1.385 1.502 11.731 Cs
-2.887 4.523 9.384 Cs
1.385 4.271 11.731 Cs
4.674 -3.554 6.132 Ge
6.441 -3.986 7.944 Ge
6.872 -2.219 6.132 Ge
5.106 1.787 1.440 Ge
5.106 -1.787 7.944 Ge
6.872 2.219 3.252 Ge
6.441 3.986 1.440 Ge
4.674 3.554 3.252 Ge
1.099 2.219 6.132 Ge
-0.668 1.787 7.944 Ge
-1.099 3.554 6.132 Ge
0.668 7.561 1.440 Ge
0.668 3.986 7.944 Ge
-1.099 7.992 3.252 Ge
-0.668 9.759 1.440 Ge
1.099 9.327 3.252 Ge
```

Symmetry   I4_1/acd (142)
Uncorrected energy   -633.05 eV per cell
Energy of formation   -0.2925 eV/atom



Entry 7:
An optimized crystal structure of CsNaGe2. Source: the Materials Project, functional meta-GGA r2SCAN.

Cell and atoms, written as POSCAR:
```
CsNaGe2
1.0
8.544 0.000 0.000
0.000 9.726 0.000
-4.853 0.000 12.420
Cs Na Ge
8 8 16
Cartesian
-1.278 0.187 3.452 Cs
-3.704 4.676 9.662 Cs
1.148 1.984 0.427 Cs
-1.279 2.879 6.637 Cs
4.970 6.847 5.783 Cs
2.544 7.742 11.994 Cs
7.395 5.050 2.759 Cs
4.969 9.539 8.969 Cs
-0.541 5.842 11.133 Na
1.886 8.747 4.923 Na
2.318 5.212 3.904 Na
-0.108 9.377 10.114 Na
3.800 0.349 2.306 Na
1.373 4.514 8.517 Na
1.806 0.979 7.498 Na
4.232 3.884 1.287 Na
1.988 5.818 0.733 Ge
-0.438 8.770 6.944 Ge
-0.821 6.707 8.336 Ge
1.606 7.882 2.126 Ge
0.305 6.467 6.073 Ge
-2.121 8.122 12.283 Ge
2.078 2.165 4.399 Ge
-0.348 2.698 10.609 Ge
4.040 7.028 1.811 Ge
1.613 7.561 8.022 Ge
5.813 1.604 0.137 Ge
3.386 3.259 6.347 Ge
2.086 1.844 10.294 Ge
4.512 3.019 4.084 Ge
4.129 0.955 5.477 Ge
1.703 3.908 11.687 Ge
```

Symmetry   P2_1/c (14)
Uncorrected energy   -460.06 eV per cell
Energy of formation   -0.2727 eV/atom



Entry 8:
An optimized crystal structure of Cs2GeO3. Source: the Materials Project, functional meta-GGA r2SCAN.

Cell and atoms, written as POSCAR:
```
Cs2GeO3
1.0
6.991 0.000 0.000
0.000 14.154 0.000
-5.399 0.000 16.649
Cs Ge O
24 12 36
Cartesian
-0.449 1.584 1.409 Cs
-3.149 5.493 9.734 Cs
-3.841 8.763 14.372 Cs
-1.142 12.468 6.047 Cs
-0.789 2.765 5.080 Cs
-3.489 4.312 13.405 Cs
-0.922 1.240 8.827 Cs
1.777 5.837 0.503 Cs
-1.801 0.135 12.997 Cs
0.899 6.942 4.672 Cs
-2.263 2.161 16.521 Cs
0.437 4.916 8.196 Cs
1.156 9.238 8.454 Cs
3.855 11.993 0.129 Cs
0.694 7.212 11.977 Cs
3.393 14.018 3.653 Cs
-0.185 8.317 16.147 Cs
2.515 12.914 7.822 Cs
5.081 9.842 3.245 Cs
2.382 11.388 11.570 Cs
2.735 1.686 10.602 Cs
5.434 5.391 2.278 Cs
4.741 8.661 6.916 Cs
2.042 12.569 15.240 Cs
-2.259 8.860 10.552 Ge
0.440 12.371 2.227 Ge
1.348 9.245 1.706 Ge
-1.352 11.985 10.031 Ge
1.683 10.564 4.702 Ge
-1.016 10.666 13.027 Ge
2.609 3.487 3.623 Ge
-0.091 3.590 11.947 Ge
2.944 2.168 6.619 Ge
0.245 4.908 14.943 Ge
1.152 1.783 14.423 Ge
3.852 5.294 6.098 Ge
-4.182 1.305 14.275 O
-1.483 5.771 5.951 O
0.150 7.993 1.834 O
-2.549 13.238 10.158 O
-2.264 10.455 9.677 O
0.435 10.775 1.352 O
-1.190 7.787 9.707 O
1.509 13.444 1.382 O
-1.547 3.211 11.089 O
1.152 3.866 2.764 O
0.359 9.866 5.583 O
-2.340 11.365 13.907 O
-1.635 9.156 12.229 O
1.064 12.074 3.904 O
2.616 9.011 0.555 O
-0.084 12.220 8.880 O
2.145 9.500 3.313 O
-0.554 11.731 11.637 O
2.147 2.423 5.012 O
-0.552 4.654 13.337 O
1.676 1.934 7.770 O
-1.023 5.143 16.095 O
0.529 2.079 12.746 O
3.228 4.997 4.421 O
3.933 2.789 2.742 O
1.233 4.288 11.067 O
0.440 10.288 13.885 O
3.140 10.943 5.560 O
0.083 0.710 15.267 O
2.783 6.367 6.942 O
1.158 3.379 15.298 O
3.857 3.698 6.973 O
4.142 0.916 6.491 O
1.442 6.161 14.816 O
3.075 8.382 10.699 O
5.775 12.848 2.374 O
```

Symmetry   P2_1/c (14)
Uncorrected energy   -1120.27 eV per cell
Energy of formation   -1.8915 eV/atom



Entry 9:
An optimized crystal structure of Cs6Ge2O7. Source: the Materials Project, functional meta-GGA r2SCAN.

Cell and atoms, written as POSCAR:
```
Cs6Ge2O7
1.0
7.228 0.000 0.000
0.000 9.838 0.000
-7.029 0.000 9.877
Cs Ge O
12 4 14
Cartesian
-2.693 1.435 4.053 Cs
-6.208 3.484 8.991 Cs
-1.703 5.169 4.500 Cs
-5.217 9.588 9.438 Cs
0.882 2.165 2.724 Cs
-2.633 2.754 7.662 Cs
2.832 7.084 2.215 Cs
-0.682 7.673 7.154 Cs
5.416 0.250 0.439 Cs
1.902 4.669 5.377 Cs
6.407 6.354 0.886 Cs
2.893 8.402 5.824 Cs
-3.766 6.230 8.646 Ge
-0.251 8.526 3.708 Ge
0.450 1.311 6.170 Ge
3.965 3.607 1.231 Ge
-5.514 6.459 8.610 O
-1.999 8.297 3.671 O
-3.117 5.695 7.102 O
0.397 9.062 2.163 O
3.127 2.174 0.639 O
-0.388 2.744 5.577 O
0.100 0.000 4.939 O
3.614 4.919 0.000 O
0.587 7.093 4.300 O
-2.928 7.663 9.238 O
-0.198 0.776 7.714 O
3.316 4.143 2.775 O
2.198 1.541 6.206 O
5.713 3.378 1.267 O
```

Symmetry   P2_1/c (14)
Uncorrected energy   -495.24 eV per cell
Energy of formation   -1.8279 eV/atom



Entry 10:
An optimized crystal structure of Cs4UGe8O20. Source: the Materials Project, functional meta-GGA r2SCAN.

Cell and atoms, written as POSCAR:
```
Cs4UGe8O20
1.0
7.480 0.000 0.000
0.000 12.440 0.000
-7.448 0.000 12.228
Cs U Ge O
8 2 16 40
Cartesian
0.001 0.974 2.070 Cs
-3.723 5.246 8.184 Cs
-3.613 0.718 8.271 Cs
0.111 5.502 2.157 Cs
-0.079 6.938 10.071 Cs
3.645 11.722 3.957 Cs
3.754 7.194 4.044 Cs
0.030 11.466 10.158 Cs
0.016 0.000 6.114 U
3.740 6.220 0.000 U
-2.095 2.926 5.213 Ge
-5.819 3.293 11.327 Ge
-4.123 8.998 9.848 Ge
-0.399 9.662 3.734 Ge
1.469 9.079 1.226 Ge
-2.255 9.581 7.340 Ge
-0.237 7.566 6.090 Ge
-3.961 11.093 12.204 Ge
3.992 1.346 0.024 Ge
0.268 4.874 6.138 Ge
2.286 2.859 4.888 Ge
-1.438 3.361 11.002 Ge
0.430 2.778 8.494 Ge
4.154 3.442 2.380 Ge
5.850 9.146 0.901 Ge
2.126 9.513 7.015 Ge
-5.771 2.522 9.734 O
-2.046 3.698 3.620 O
0.017 9.321 0.239 O
-3.707 9.338 6.353 O
-1.629 1.262 5.143 O
-5.354 4.957 11.257 O
-1.211 8.712 4.944 O
-4.936 9.947 11.058 O
-4.320 0.069 11.166 O
-0.596 6.150 5.052 O
0.878 8.770 2.887 O
-2.846 9.889 9.001 O
2.517 2.359 0.276 O
-1.207 3.860 6.390 O
-3.606 7.427 10.363 O
0.119 11.233 4.249 O
2.248 7.587 0.874 O
-1.476 11.072 6.988 O
-1.298 8.110 7.471 O
2.426 10.549 1.357 O
-2.395 1.890 10.871 O
1.330 4.330 4.757 O
1.507 1.367 5.240 O
-2.217 4.853 11.354 O
-0.087 1.207 7.980 O
3.637 5.013 1.865 O
1.238 8.579 5.838 O
-2.486 10.080 11.952 O
2.877 2.551 3.227 O
-0.847 3.669 9.341 O
0.627 6.289 7.176 O
4.351 12.370 1.062 O
4.967 2.492 1.170 O
1.243 3.728 7.284 O
5.385 7.482 0.971 O
1.661 11.177 7.085 O
3.738 3.101 5.875 O
0.014 3.119 11.989 O
2.078 8.742 8.609 O
5.802 9.918 2.495 O
```

Symmetry   P2_1/c (14)
Uncorrected energy   -959.11 eV per cell
Energy of formation   -2.0835 eV/atom



Look up the energy of formation of the eighth one.
-1.8915 eV/atom



Number 7 is which compound?
CsNaGe2